Record 1
# Na3CaAl3Si3SO16

A geometry-optimized Na3CaAl3Si3SO16 structure (PBE, Materials Project).

Values from the calculation:
The spin magnetization is 0.00 μB per formula unit. As for the formation energy: -3014.1 meV per atom. The energy above the most stable polymorph in this dataset comes out at 0.55 eV/f.u. For the MP2020-corrected energy, the calculation gives -7.34 eV per atom. As for the space-group type: No. 1.

a b c (Å): 7.829 7.854 12.816
angles (deg): 89.88 89.89 70.49
Fractional positions:
1 Ca 0.679 0.329 0.700
2 Ca 0.496 0.860 0.500
3 Si 0.380 0.372 0.123
4 Si 0.125 0.119 0.377
5 Si 0.008 0.505 0.750
6 Si 0.628 0.621 0.123
7 Si 0.493 0.994 0.750
8 Si 0.877 0.873 0.378
9 O 0.921 0.077 0.650
10 O 0.181 0.010 0.991
11 O 0.491 0.209 0.202
12 O 0.164 0.450 0.150
13 O 0.791 0.509 0.201
14 O 0.299 0.994 0.705
15 O 0.457 0.544 0.142
16 O 0.422 0.599 0.408
17 O 0.991 0.819 0.992
18 O 0.412 0.298 0.004
19 O 0.551 0.836 0.150
20 O 0.056 0.334 0.350
21 O 0.949 0.048 0.360
22 O 0.805 0.512 0.788
23 O 0.996 0.708 0.304
24 O 0.198 0.083 0.498
25 O 0.901 0.806 0.499
26 O 0.554 0.861 0.850
27 O 0.658 0.940 0.354
28 O 0.701 0.593 0.004
29 O 0.413 0.607 0.597
30 O 0.294 0.997 0.306
31 O 0.142 0.442 0.849
32 O 0.063 0.363 0.652
33 O 0.904 0.096 0.095
34 O 0.700 0.504 0.509
35 O 0.492 0.195 0.785
36 O 0.634 0.929 0.649
37 O 0.005 0.702 0.708
38 O 0.466 0.535 0.839
39 O 0.508 0.313 0.510
40 O 0.886 0.113 0.905
41 Al 0.375 0.370 0.874
42 Al 0.871 0.879 0.630
43 Al 0.117 0.130 0.629
44 Al 0.629 0.628 0.875
45 Al 0.003 0.499 0.250
46 Al 0.499 0.998 0.249
47 Na 0.182 0.812 0.173
48 Na 0.101 0.504 0.499
49 Na 0.195 0.805 0.821
50 Na 0.704 0.298 0.294
51 Na 0.003 0.375 0.002
52 Na 0.630 0.995 0.001
53 S 0.510 0.500 0.504
54 S 0.990 0.010 0.996

Record 2
# Na7CaAl3Si3S3O24

A geometry-optimized Na7CaAl3Si3S3O24 structure (PBE, Materials Project).

Values from the calculation:
The spin magnetization is 0.00 μB per formula unit. As for the formation energy: -2602.7 meV per atom. For the MP2020-corrected energy, the calculation gives -6.75 eV per atom. As for the space-group type: No. 1.

a b c (Å): 8.942 8.928 21.951
angles (deg): 90.81 90.04 119.89
Fractional positions:
1 Al 0.625 0.286 0.988
2 Al 0.352 0.676 0.813
3 Al 0.351 0.677 0.515
4 Al 0.329 0.671 0.017
5 Al 0.016 0.005 0.850
6 Al 0.351 0.691 0.319
7 Al 0.983 0.999 0.653
8 Al 0.693 0.357 0.479
9 Al 0.978 0.008 0.142
10 O 0.833 0.001 0.084
11 O 0.857 0.488 0.422
12 O 0.616 0.082 0.144
13 O 0.188 0.013 0.587
14 O 0.144 0.631 0.357
15 O 0.848 0.832 0.588
16 O 0.040 0.832 0.423
17 O 0.868 0.364 0.921
18 O 0.502 0.146 0.922
19 O 0.840 0.531 0.030
20 O 0.504 0.374 0.423
21 O 0.472 0.139 0.246
22 O 0.495 0.663 0.571
23 O 0.186 0.974 0.196
24 O 0.701 0.531 0.525
25 O 0.361 0.856 0.856
26 O 0.171 0.146 0.094
27 O 0.330 0.501 0.062
28 O 0.466 0.094 0.637
29 O 0.491 0.833 0.068
30 O 0.834 0.007 0.815
31 O 0.322 0.476 0.472
32 O 0.989 0.210 0.307
33 O 0.032 0.823 0.695
34 O 0.453 0.294 0.026
35 O 0.155 0.980 0.909
36 O 0.451 0.142 0.528
37 O 0.166 0.666 0.479
38 O 0.527 0.842 0.477
39 O 0.541 0.694 0.970
40 O 0.337 0.850 0.573
41 O 0.985 0.808 0.805
42 O 0.169 0.707 0.756
43 O 0.672 0.509 0.247
44 O 0.695 0.158 0.024
45 O 0.514 0.633 0.860
46 O 0.159 0.472 0.968
47 O 0.698 0.165 0.755
48 O 0.170 0.475 0.251
49 O 0.803 0.836 0.192
50 O 0.802 0.773 0.313
51 O 0.859 0.547 0.749
52 O 0.225 0.025 0.307
53 O 0.502 0.691 0.258
54 O 0.152 0.188 0.693
55 O 0.472 0.318 0.753
56 O 0.798 0.823 0.911
57 O 0.816 0.004 0.422
58 O 0.023 0.205 0.914
59 O 0.030 0.205 0.197
60 O 0.518 0.817 0.759
61 O 0.793 0.961 0.692
62 O 0.979 0.172 0.585
63 O 0.984 0.805 0.084
64 O 0.633 0.541 0.646
65 O 0.504 0.886 0.359
66 O 0.852 0.307 0.528
67 O 0.368 0.492 0.362
68 O 0.913 0.543 0.139
69 O 0.304 0.833 0.975
70 O 0.292 0.484 0.760
71 O 0.856 0.322 0.243
72 O 0.905 0.370 0.638
73 O 0.642 0.508 0.922
74 O 0.194 0.172 0.813
75 O 0.466 0.401 0.142
76 O 0.125 0.482 0.859
77 O 0.146 0.488 0.573
78 O 0.142 0.653 0.070
79 O 0.296 0.824 0.254
80 O 0.630 0.163 0.430
81 O 0.193 0.218 0.415
82 Na 0.638 0.994 0.243
83 Na 0.386 0.016 0.757
84 Na 0.993 0.991 0.501
85 Na 0.019 0.695 0.576
86 Na 0.982 0.637 0.255
87 Na 0.353 0.648 0.666
88 Na 0.332 0.023 0.418
89 Na 0.377 0.375 0.242
90 Na 0.332 0.290 0.916
91 Na 0.961 0.296 0.415
92 Na 0.695 0.034 0.915
93 Na 0.994 0.353 0.752
94 Na 0.008 0.006 0.001
95 Na 0.659 0.325 0.834
96 Na 0.665 0.961 0.583
97 Na 0.344 0.659 0.160
98 Na 0.652 0.687 0.088
99 Na 0.621 0.624 0.743
100 Na 0.316 0.980 0.081
101 Na 0.722 0.686 0.416
102 Na 0.674 0.348 0.333
103 Ca 0.995 0.992 0.356
104 Ca 0.658 0.333 0.172
105 Ca 0.658 0.334 0.684
106 S 0.626 0.665 0.916
107 S 0.973 0.336 0.581
108 S 0.011 0.722 0.751
109 S 0.347 0.393 0.419
110 S 0.362 0.030 0.581
111 S 0.967 0.628 0.080
112 S 0.043 0.385 0.915
113 S 0.294 0.992 0.250
114 S 0.010 0.302 0.249
115 Si 0.714 0.991 0.756
116 Si 0.056 0.659 0.419
117 Si 0.321 0.945 0.916
118 Si 0.663 0.636 0.582
119 Si 0.348 0.335 0.081
120 Si 0.696 0.703 0.251
121 Si 0.662 0.024 0.080
122 Si 0.278 0.290 0.753
123 Si 0.620 0.972 0.421

Record 3
# Na3CaAl3Si3SO16

A geometry-optimized Na3CaAl3Si3SO16 structure (PBE, Materials Project).

Values from the calculation:
The spin magnetization is 0.00 μB per formula unit. As for the formation energy: -3034.6 meV per atom. The energy above the most stable polymorph in this dataset comes out at 0.00 eV/f.u. For the MP2020-corrected energy, the calculation gives -7.36 eV per atom. As for the space-group type: No. 1.

a b c (Å): 7.861 7.867 15.734
angles (deg): 109.13 109.24 109.49
Fractional positions:
1 O 0.284 0.719 0.654
2 O 0.707 0.334 0.156
3 O 0.273 0.587 0.786
4 O 0.393 0.983 0.849
5 O 0.133 0.946 0.985
6 O 0.997 0.708 0.711
7 O 0.964 0.972 0.381
8 O 0.687 0.998 0.186
9 O 0.982 0.392 0.846
10 O 0.327 0.628 0.319
11 O 0.695 0.398 0.503
12 O 0.993 0.188 0.545
13 O 0.416 0.019 0.353
14 O 0.103 0.135 0.133
15 O 0.393 0.693 0.999
16 O 0.409 0.695 0.503
17 O 0.810 0.804 0.990
18 O 0.815 0.816 0.469
19 O 0.713 0.278 0.650
20 O 0.708 0.995 0.703
21 O 0.613 0.613 0.139
22 O 0.332 0.706 0.156
23 O 0.915 0.106 0.966
24 O 0.586 0.267 0.785
25 O 0.022 0.407 0.348
26 O 0.330 0.326 0.364
27 O 0.697 0.398 0.000
28 O 0.000 0.691 0.189
29 O 0.565 0.565 0.654
30 O 0.615 0.310 0.311
31 O 0.293 0.291 0.833
32 O 0.192 0.010 0.545
33 Al 0.261 0.757 0.251
34 Al 0.239 0.493 0.871
35 Al 0.494 0.742 0.632
36 Al 0.745 0.497 0.632
37 Al 0.496 0.239 0.872
38 Al 0.759 0.261 0.251
39 Na 0.613 0.002 0.000
40 Na 0.995 0.623 0.502
41 Na 0.005 0.619 0.998
42 Na 0.006 0.011 0.247
43 Na 0.019 0.012 0.835
44 Na 0.420 0.414 0.201
45 Ca 0.347 0.348 0.691
46 Ca 0.625 0.991 0.501
47 Si 0.266 0.511 0.382
48 Si 0.750 0.233 0.749
49 Si 0.516 0.265 0.382
50 Si 0.506 0.756 0.120
51 Si 0.236 0.751 0.750
52 Si 0.758 0.508 0.120
53 S 0.992 0.994 0.481
54 S 0.991 0.998 0.018

Record 4
# NaCaAl3Si3O12

A geometry-optimized NaCaAl3Si3O12 structure (PBE, Materials Project).

Values from the calculation:
The spin magnetization is 0.00 μB per formula unit. As for the formation energy: -3231.8 meV per atom. For the MP2020-corrected energy, the calculation gives -7.74 eV per atom. As for the space-group type: No. 1.

a b c (Å): 12.292 12.431 12.683
angles (deg): 89.41 89.64 89.30
Fractional positions:
1 Si 0.186 0.626 0.003
2 Si 0.813 0.631 0.007
3 Si 0.371 0.182 0.006
4 Si 0.813 0.376 0.006
5 Si 0.630 0.995 0.181
6 Si 0.997 0.373 0.184
7 Si 0.008 0.820 0.364
8 Si 0.183 0.004 0.361
9 Si 0.374 0.995 0.184
10 Si 0.993 0.179 0.359
11 Si 0.814 0.998 0.365
12 Si 0.634 0.815 0.007
13 O 0.497 0.212 0.994
14 O 0.997 0.491 0.235
15 O 0.867 0.122 0.640
16 O 0.284 0.023 0.719
17 O 0.296 0.286 0.032
18 O 0.106 0.118 0.646
19 O 0.130 0.882 0.649
20 O 0.115 0.896 0.327
21 O 0.508 0.792 0.998
22 O 0.993 0.220 0.478
23 O 0.998 0.502 0.803
24 O 0.214 0.501 0.986
25 O 0.001 0.724 0.281
26 O 0.219 0.007 0.481
27 O 0.294 0.699 0.016
28 O 0.763 0.003 0.481
29 O 0.884 0.107 0.329
30 O 0.699 0.700 0.022
31 O 0.887 0.356 0.113
32 O 0.713 0.988 0.282
33 O 0.985 0.280 0.277
34 O 0.503 0.991 0.220
35 O 0.103 0.341 0.116
36 O 0.351 0.103 0.113
37 O 0.662 0.883 0.117
38 O 0.340 0.886 0.124
39 O 0.875 0.677 0.901
40 O 0.661 0.102 0.116
41 O 0.708 0.302 0.027
42 O 0.999 0.730 0.728
43 O 0.895 0.894 0.342
44 O 0.322 0.120 0.903
45 O 0.505 0.003 0.812
46 O 0.318 0.885 0.893
47 O 0.022 0.777 0.482
48 O 0.118 0.314 0.888
49 O 0.723 0.976 0.722
50 O 0.890 0.886 0.630
51 O 0.691 0.119 0.891
52 O 0.117 0.677 0.901
53 O 0.881 0.652 0.114
54 O 0.106 0.110 0.326
55 O 0.113 0.649 0.109
56 O 0.879 0.331 0.902
57 O 0.782 0.504 0.994
58 O 0.979 0.283 0.717
59 O 0.688 0.881 0.907
60 O 0.293 0.010 0.286
61 Al 0.999 0.622 0.186
62 Al 0.635 0.184 0.002
63 Al 0.807 0.999 0.612
64 Al 0.989 0.190 0.613
65 Al 0.189 0.006 0.617
66 Al 0.000 0.367 0.825
67 Al 0.369 0.816 0.004
68 Al 0.641 0.000 0.832
69 Al 0.011 0.814 0.615
70 Al 0.998 0.634 0.831
71 Al 0.368 0.003 0.828
72 Al 0.183 0.366 0.001
73 Na 0.202 0.783 0.193
74 Na 0.788 0.216 0.195
75 Na 0.214 0.211 0.193
76 Na 0.803 0.790 0.208
77 Ca 0.817 0.817 0.779
78 Ca 0.814 0.201 0.786
79 Ca 0.192 0.185 0.785
80 Ca 0.189 0.808 0.797

Record 5
# Na3Ca3AlSb4

A geometry-optimized Na3Ca3AlSb4 structure (PBE, Materials Project).

Values from the calculation:
The spin magnetization is 0.00 μB per formula unit. As for the formation energy: -778.4 meV per atom. For the MP2020-corrected energy, the calculation gives -3.53 eV per atom. As for the space-group type: No. 186.

a b c (Å): 10.113 10.113 7.600
angles (deg): 90.00 90.00 120.00
Fractional positions:
1 Sb 0.667 0.333 0.497
2 Sb 0.375 0.188 0.964
3 Sb 0.188 0.375 0.464
4 Sb 0.812 0.188 0.964
5 Sb 0.625 0.812 0.464
6 Sb 0.333 0.667 0.997
7 Sb 0.812 0.625 0.964
8 Sb 0.188 0.812 0.464
9 Al 0.667 0.333 0.859
10 Al 0.333 0.667 0.359
11 Ca 0.479 0.959 0.730
12 Ca 0.959 0.479 0.230
13 Ca 0.521 0.479 0.230
14 Ca 0.521 0.041 0.230
15 Ca 0.041 0.521 0.730
16 Ca 0.479 0.521 0.730
17 Na 0.855 0.145 0.549
18 Na 0.855 0.710 0.549
19 Na 0.145 0.290 0.049
20 Na 0.145 0.855 0.049
21 Na 0.710 0.855 0.049
22 Na 0.290 0.145 0.549

Record 6
# Ca5Ti3NbAlSi5O25

A geometry-optimized Ca5Ti3NbAlSi5O25 structure (PBE, Materials Project).

Values from the calculation:
The spin magnetization is 0.01 μB per formula unit. As for the formation energy: -3430.5 meV per atom. For the MP2020-corrected energy, the calculation gives -8.39 eV per atom. As for the space-group type: No. 2.

a b c (Å): 5.487 7.131 25.188
angles (deg): 84.54 85.86 76.00
Fractional positions:
1 Si 0.453 0.612 0.864
2 Si 0.154 0.578 0.336
3 Si 0.946 0.188 0.936
4 Si 0.346 0.985 0.738
5 Si 0.753 0.776 0.538
6 Si 0.247 0.224 0.462
7 Si 0.846 0.422 0.664
8 Si 0.547 0.388 0.136
9 Si 0.054 0.812 0.064
10 Si 0.654 0.015 0.262
11 O 0.737 0.055 0.937
12 O 0.460 0.562 0.177
13 O 0.404 0.263 0.014
14 O 0.535 0.653 0.539
15 O 0.063 0.759 0.377
16 O 0.572 0.562 0.650
17 O 0.799 0.322 0.724
18 O 0.596 0.737 0.986
19 O 0.001 0.716 0.125
20 O 0.135 0.854 0.738
21 O 0.603 0.658 0.413
22 O 0.064 0.547 0.662
23 O 0.338 0.041 0.423
24 O 0.179 0.759 0.850
25 O 0.263 0.945 0.063
26 O 0.201 0.678 0.276
27 O 0.663 0.744 0.863
28 O 0.801 0.064 0.814
29 O 0.028 0.636 0.552
30 O 0.865 0.146 0.262
31 O 0.403 0.082 0.677
32 O 0.381 0.162 0.249
33 O 0.540 0.438 0.823
34 O 0.597 0.918 0.323
35 O 0.428 0.438 0.350
36 O 0.821 0.241 0.150
37 O 0.601 0.485 0.075
38 O 0.203 0.858 0.613
39 O 0.936 0.453 0.338
40 O 0.780 0.958 0.050
41 O 0.797 0.142 0.387
42 O 0.142 0.638 0.023
43 O 0.997 0.537 0.787
44 O 0.399 0.515 0.925
45 O 0.858 0.362 0.977
46 O 0.337 0.256 0.137
47 O 0.196 0.123 0.523
48 O 0.465 0.347 0.461
49 O 0.199 0.936 0.186
50 O 0.003 0.463 0.213
51 O 0.220 0.042 0.950
52 O 0.937 0.241 0.623
53 O 0.619 0.838 0.751
54 O 0.972 0.364 0.448
55 O 0.804 0.877 0.477
56 O 0.743 0.839 0.222
57 O 0.257 0.161 0.778
58 O 0.662 0.959 0.577
59 O 0.999 0.284 0.875
60 O 0.397 0.342 0.587
61 Ti 0.896 0.300 0.800
62 Ti 0.100 0.202 0.199
63 Ti 0.500 0.500 0.000
64 Ti 0.104 0.700 0.200
65 Ti 0.500 0.000 0.000
66 Ti 0.900 0.798 0.801
67 Ca 0.247 0.693 0.468
68 Ca 0.753 0.307 0.532
69 Ca 0.960 0.687 0.935
70 Ca 0.157 0.106 0.333
71 Ca 0.040 0.313 0.065
72 Ca 0.643 0.512 0.267
73 Ca 0.843 0.894 0.667
74 Ca 0.438 0.117 0.866
75 Ca 0.357 0.488 0.733
76 Ca 0.562 0.883 0.134
77 Al 0.300 0.599 0.601
78 Al 0.700 0.401 0.399
79 Nb 0.296 0.102 0.600
80 Nb 0.704 0.898 0.400